{
  "formula": "CrHSe3O8",
  "functional": "GGA+U",
  "state": "relaxed",
  "cell": [[-7.5317, 0.5140, -0.2404], [-0.6319, -3.3966, 12.5346], [7.7318, 7.0264, 2.2938]],
  "species": ["O", "O", "O", "O", "O", "O", "O", "O", "O", "O", "O", "O", "O", "O", "O", "O", "O", "O", "O", "O", "O", "O", "O", "O", "O", "O", "O", "O", "O", "O", "O", "O", "Cr", "Cr", "Cr", "Cr", "Se", "Se", "Se", "Se", "Se", "Se", "Se", "Se", "Se", "Se", "Se", "Se", "H", "H", "H", "H"],
  "frac_coords": [[0.3032, 0.6882, 0.0200], [0.9081, 0.2067, 0.2764], [0.8447, 0.7534, 0.3762], [0.5745, 0.7607, 0.4655], [0.3032, 0.8118, 0.5200], [0.8884, 0.5997, 0.7253], [0.1527, 0.8972, 0.1097], [0.6461, 0.5681, 0.3850], [0.1116, 0.4003, 0.2747], [0.5881, 0.5384, 0.8954], [0.3539, 0.0681, 0.1150], [0.8473, 0.1028, 0.8903], [0.1527, 0.6028, 0.6097], [0.0919, 0.7067, 0.2236], [0.5881, 0.9616, 0.3954], [0.1553, 0.2466, 0.6238], [0.4255, 0.2393, 0.5345], [0.4119, 0.0384, 0.6046], [0.1116, 0.0997, 0.7747], [0.4119, 0.4616, 0.1046], [0.5745, 0.7393, 0.9655], [0.8473, 0.3972, 0.3903], [0.1553, 0.2534, 0.1238], [0.8447, 0.7466, 0.8762], [0.6461, 0.9319, 0.8850], [0.4255, 0.2607, 0.0345], [0.3539, 0.4319, 0.6150], [0.0919, 0.7933, 0.7236], [0.6968, 0.3118, 0.9800], [0.9081, 0.2933, 0.7764], [0.8884, 0.9003, 0.2253], [0.6968, 0.1882, 0.4800], [0.8741, 0.8217, 0.0559], [0.1259, 0.3217, 0.4441], [0.8741, 0.6783, 0.5559], [0.1259, 0.1783, 0.9441], [0.2871, 0.4895, 0.7222], [0.6544, 0.2010, 0.0637], [0.9966, 0.3627, 0.0788], [0.3456, 0.7990, 0.9363], [0.7129, 0.9895, 0.7778], [0.6544, 0.2990, 0.5637], [0.7129, 0.5105, 0.2778], [0.2871, 0.0105, 0.2222], [0.3456, 0.7010, 0.4363], [0.9966, 0.1373, 0.5788], [0.0034, 0.6373, 0.9212], [0.0034, 0.8627, 0.4212], [0.5699, 0.6108, 0.9191], [0.4301, 0.1108, 0.5809], [0.4301, 0.3892, 0.0809], [0.5699, 0.8892, 0.4191]],
  "spacegroup": "P2_1/c",
  "e_above_lowest_polymorph_mev_per_atom": 0,
  "energy_corrected_mp2020_ry_per_atom": -0.4637,
  "energy_ev_per_atom": -5.733,
  "formation_energy_mev_per_atom": -1454,
  "crystal_system": "monoclinic"
}


{
  "formula": "Na4W8XeO6",
  "functional": "GGA+U",
  "state": "relaxed",
  "cell": [[-6.9302, -7.1465, 3.0252], [5.9419, -1.1210, 10.9637], [-7.2158, 9.0443, 4.8354]],
  "species": ["O", "O", "O", "O", "O", "O", "O", "O", "O", "O", "O", "O", "O", "O", "O", "O", "O", "O", "O", "O", "O", "O", "O", "O", "W", "W", "W", "W", "W", "W", "W", "W", "W", "W", "W", "W", "W", "W", "W", "W", "W", "W", "W", "W", "W", "W", "W", "W", "W", "W", "W", "W", "W", "W", "W", "W", "Xe", "Xe", "Xe", "Xe", "Na", "Na", "Na", "Na", "Na", "Na", "Na", "Na", "Na", "Na", "Na", "Na", "Na", "Na", "Na", "Na"],
  "frac_coords": [[0.5351, 0.2215, 0.8680], [0.7500, 0.4631, 0.0000], [0.0240, 0.2931, 0.3562], [0.7500, 0.5181, 0.5000], [0.5240, 0.2069, 0.1438], [0.0351, 0.7785, 0.8680], [0.2500, 0.0369, 0.5000], [0.5240, 0.7069, 0.3562], [0.9649, 0.7215, 0.3680], [0.2500, 0.4819, 0.5000], [0.5351, 0.7215, 0.6320], [0.4760, 0.7931, 0.8562], [0.0240, 0.7931, 0.1438], [0.9760, 0.2069, 0.8562], [0.4649, 0.7785, 0.1320], [0.9649, 0.2215, 0.1320], [0.4760, 0.2931, 0.6438], [0.7500, 0.9631, 0.5000], [0.4649, 0.2785, 0.3680], [0.2500, 0.5369, 0.0000], [0.9760, 0.7069, 0.6438], [0.0351, 0.2785, 0.6320], [0.2500, 0.9819, 0.0000], [0.7500, 0.0181, 0.0000], [0.6318, 0.8524, 0.5896], [0.3953, 0.9179, 0.8793], [0.8953, 0.0821, 0.8793], [0.3401, 0.4785, 0.8403], [0.8929, 0.5758, 0.3931], [0.8682, 0.8524, 0.4104], [0.6047, 0.0821, 0.1207], [0.6071, 0.5758, 0.6069], [0.6318, 0.3524, 0.9104], [0.3929, 0.4242, 0.3931], [0.6599, 0.0215, 0.3403], [0.8953, 0.5821, 0.6207], [0.3401, 0.9785, 0.6597], [0.3929, 0.9242, 0.1069], [0.8929, 0.0758, 0.1069], [0.1318, 0.1476, 0.5896], [0.3953, 0.4179, 0.6207], [0.3682, 0.6476, 0.0896], [0.6047, 0.5821, 0.3793], [0.3682, 0.1476, 0.4104], [0.8401, 0.0215, 0.6597], [0.1047, 0.9179, 0.1207], [0.6071, 0.0758, 0.8931], [0.8682, 0.3524, 0.0896], [0.1599, 0.9785, 0.3403], [0.8401, 0.5215, 0.8403], [0.1071, 0.9242, 0.8931], [0.1318, 0.6476, 0.9104], [0.1071, 0.4242, 0.6069], [0.1047, 0.4179, 0.3793], [0.1599, 0.4785, 0.1597], [0.6599, 0.5215, 0.1597], [0.2500, 0.2284, 0.0000], [0.7500, 0.7716, 0.0000], [0.2500, 0.7284, 0.5000], [0.7500, 0.2716, 0.5000], [0.9318, 0.6263, 0.1245], [0.0682, 0.8737, 0.6245], [0.1489, 0.7113, 0.2713], [0.9318, 0.1263, 0.3755], [0.6489, 0.2887, 0.2713], [0.5682, 0.6263, 0.8755], [0.0682, 0.3737, 0.8755], [0.4318, 0.3737, 0.1245], [0.1489, 0.2113, 0.2287], [0.5682, 0.1263, 0.6245], [0.3511, 0.7113, 0.7287], [0.8511, 0.7887, 0.7713], [0.8511, 0.2887, 0.7287], [0.3511, 0.2113, 0.7713], [0.6489, 0.7887, 0.2287], [0.4318, 0.8737, 0.3755]],
  "spacegroup": "Pbcn",
  "energy_corrected_mp2020_ry_per_atom": -0.4968,
  "energy_ev_per_atom": -4.674,
  "formation_energy_mev_per_atom": 539,
  "crystal_system": "orthorhombic"
}